[1]
{"formula": "LaGe2Ir2", "functional": "PBE", "state": "relaxed", "energy_ev_per_atom": -7.18, "delta_e_f_mev_per_atom": -811, "cell": [[-1.318, 2.975, 2.824], [-3.238, 1.066, -2.634], [-6.012, -6.994, 4.561]], "species": ["La", "La", "Ir", "Ir", "Ir", "Ir", "Ge", "Ge", "Ge", "Ge"], "fractional_positions": [[0.500, 0.000, 0.744], [0.000, 0.500, 0.256], [0.500, 0.000, 0.372], [0.500, 0.500, 0.000], [0.000, 0.500, 0.628], [0.000, 0.000, 0.000], [0.000, 0.500, 0.870], [0.000, 0.000, 0.500], [0.500, 0.500, 0.500], [0.500, 0.000, 0.130]]}

***

[2]
{"formula": "La2Ge3Ir3", "functional": "PBE", "state": "relaxed", "energy_ev_per_atom": -5.69, "delta_e_f_mev_per_atom": 595, "cell": [[2.861, 0.000, 0.000], [0.000, 2.861, 0.000], [0.000, 0.000, 21.142]], "species": ["Ge", "Ge", "Ge", "La", "La", "Ir", "Ir", "Ir"], "fractional_positions": [[0.500, 0.500, 0.387], [0.500, 0.500, 0.000], [0.500, 0.500, 0.613], [0.500, 0.500, 0.764], [0.500, 0.500, 0.236], [0.500, 0.500, 0.116], [0.500, 0.500, 0.500], [0.500, 0.500, 0.884]]}

***

[3]
{"formula": "La2Ge4IrPd3", "functional": "PBE", "state": "relaxed", "energy_ev_per_atom": -6.12, "delta_e_f_mev_per_atom": -849, "cell": [[4.451, 0.000, 0.000], [0.000, 4.451, 0.000], [0.000, 0.000, 9.971]], "species": ["Ge", "Ge", "Ge", "Ge", "Pd", "Pd", "Pd", "Ir", "La", "La"], "fractional_positions": [[0.000, 0.500, 0.502], [0.500, 0.000, 0.502], [0.500, 0.500, 0.867], [0.000, 0.000, 0.128], [0.000, 0.500, 0.000], [0.500, 0.000, 0.000], [0.000, 0.000, 0.376], [0.500, 0.500, 0.623], [0.500, 0.500, 0.256], [0.000, 0.000, 0.746]]}

***

[4]
{"formula": "La2Ge4IrRh3", "functional": "PBE", "state": "relaxed", "energy_ev_per_atom": -6.81, "delta_e_f_mev_per_atom": -885, "cell": [[-4.104, 0.658, 0.762], [0.386, -1.928, 3.741], [2.346, 9.334, 4.568]], "species": ["La", "La", "Rh", "Rh", "Rh", "Ge", "Ge", "Ge", "Ge", "Ir"], "fractional_positions": [[0.500, 0.000, 0.750], [0.000, 0.500, 0.250], [0.000, 0.000, 0.000], [0.000, 0.000, 0.500], [0.500, 0.500, 0.500], [0.500, 0.000, 0.376], [0.500, 0.000, 0.124], [0.000, 0.500, 0.876], [0.000, 0.500, 0.624], [0.500, 0.500, 0.000]]}

***

[5]
{"formula": "LiGe2Ir", "functional": "PBE", "state": "relaxed", "relative_energy_ev_per_atom": 0.0000, "energy_ev_per_atom": -5.32, "delta_e_f_mev_per_atom": -318, "cell": [[0.000, 3.079, 3.079], [3.079, 0.000, 3.079], [3.079, 3.079, 0.000]], "species": ["Ge", "Ge", "Li", "Ir"], "fractional_positions": [[0.750, 0.750, 0.750], [0.250, 0.250, 0.250], [0.000, 0.000, 0.000], [0.500, 0.500, 0.500]]}

***

[6]
{"formula": "LuGeIr", "functional": "PBE", "state": "relaxed", "energy_ev_per_atom": -6.95, "delta_e_f_mev_per_atom": -958, "cell": [[-3.878, -1.481, -0.939], [2.111, -1.620, -6.168], [2.030, -6.907, 2.509]], "species": ["Ir", "Ir", "Ir", "Ir", "Ge", "Ge", "Ge", "Ge", "Lu", "Lu", "Lu", "Lu"], "fractional_positions": [[0.250, 0.837, 0.939], [0.750, 0.163, 0.061], [0.250, 0.337, 0.561], [0.750, 0.663, 0.439], [0.750, 0.288, 0.384], [0.750, 0.788, 0.116], [0.250, 0.712, 0.616], [0.250, 0.212, 0.884], [0.750, 0.510, 0.809], [0.750, 0.010, 0.691], [0.250, 0.990, 0.309], [0.250, 0.490, 0.191]]}

***

[7]
{"formula": "Lu3Ge13Ir4", "functional": "PBE", "state": "relaxed", "energy_ev_per_atom": -5.93, "delta_e_f_mev_per_atom": -483, "cell": [[-1.007, 6.012, -6.634], [0.661, -6.608, -6.089], [-8.928, -1.168, 0.298]], "species": ["Ge", "Ge", "Ge", "Ge", "Ge", "Ge", "Ge", "Ge", "Ge", "Ge", "Ge", "Ge", "Ge", "Ge", "Ge", "Ge", "Ge", "Ge", "Ge", "Ge", "Ge", "Ge", "Ge", "Ge", "Ge", "Ge", "Ir", "Ir", "Ir", "Ir", "Ir", "Ir", "Ir", "Ir", "Lu", "Lu", "Lu", "Lu", "Lu", "Lu"], "fractional_positions": [[0.810, 0.355, 0.500], [0.500, 0.190, 0.355], [0.645, 0.500, 0.190], [0.355, 0.500, 0.810], [0.145, 0.310, 0.000], [0.810, 0.645, 0.500], [0.000, 0.855, 0.310], [0.500, 0.190, 0.645], [0.000, 0.145, 0.310], [0.855, 0.310, 0.000], [0.690, 0.000, 0.145], [0.355, 0.500, 0.190], [0.500, 0.810, 0.645], [0.500, 0.500, 0.500], [0.310, 0.000, 0.855], [0.145, 0.690, 0.000], [0.190, 0.355, 0.500], [0.000, 0.145, 0.690], [0.000, 0.855, 0.690], [0.310, 0.000, 0.145], [0.500, 0.810, 0.355], [0.645, 0.500, 0.810], [0.000, 0.000, 0.000], [0.855, 0.690, 0.000], [0.690, 0.000, 0.855], [0.190, 0.645, 0.500], [0.250, 0.250, 0.750], [0.750, 0.750, 0.250], [0.750, 0.250, 0.750], [0.250, 0.750, 0.250], [0.250, 0.750, 0.750], [0.750, 0.750, 0.750], [0.750, 0.250, 0.250], [0.250, 0.250, 0.250], [0.000, 0.500, 0.250], [0.750, 0.000, 0.500], [0.500, 0.750, 0.000], [0.250, 0.000, 0.500], [0.000, 0.500, 0.750], [0.500, 0.250, 0.000]]}

***

[8]
{"formula": "Mn3GeIr", "functional": "PBE", "state": "relaxed", "energy_ev_per_atom": -8.23, "delta_e_f_mev_per_atom": -43, "cell": [[6.609, 0.000, 0.000], [0.000, 6.609, 0.000], [0.000, 0.000, 6.609]], "species": ["Mn", "Mn", "Mn", "Mn", "Mn", "Mn", "Mn", "Mn", "Mn", "Mn", "Mn", "Mn", "Ir", "Ir", "Ir", "Ir", "Ge", "Ge", "Ge", "Ge"], "fractional_positions": [[0.547, 0.621, 0.294], [0.379, 0.794, 0.953], [0.206, 0.453, 0.121], [0.047, 0.879, 0.706], [0.706, 0.047, 0.879], [0.953, 0.379, 0.794], [0.621, 0.294, 0.547], [0.121, 0.206, 0.453], [0.294, 0.547, 0.621], [0.879, 0.706, 0.047], [0.453, 0.121, 0.206], [0.794, 0.953, 0.379], [0.190, 0.810, 0.310], [0.810, 0.310, 0.190], [0.690, 0.690, 0.690], [0.310, 0.190, 0.810], [0.438, 0.938, 0.562], [0.938, 0.562, 0.438], [0.062, 0.062, 0.062], [0.562, 0.438, 0.938]]}